Density functional theory data (r²SCAN) for crystalline Rb3Yb at its relaxed geometry.

Lattice parameters (Å, degrees): 9.0352 9.0352 7.4524 90.00 90.00 120.00
Last column: nearest neighbours and their distance in Å.
Element x y z (fractional)
Rb1 0.1759 0.3518 0.2500  8 Rb 4.27-4.77, 4 Yb 4.47-4.52
Rb2 0.1759 0.8241 0.2500  8 Rb 4.27-4.77, 4 Yb 4.47-4.52
Rb3 0.3518 0.1759 0.7500  8 Rb 4.27-4.77, 4 Yb 4.47-4.52
Rb4 0.6482 0.8241 0.2500  8 Rb 4.27-4.77, 4 Yb 4.47-4.52
Rb5 0.8241 0.1759 0.7500  8 Rb 4.27-4.77, 4 Yb 4.47-4.52
Rb6 0.8241 0.6482 0.7500  8 Rb 4.27-4.77, 4 Yb 4.47-4.52
Yb1 0.3333 0.6667 0.7500  12 Rb 4.47-4.52
Yb2 0.6667 0.3333 0.2500  12 Rb 4.47-4.52

Distance to the lowest polymorph of the same formula ... 0.000 eV/f.u.
SG ... No. 194


Density functional theory data (r²SCAN) for crystalline HfP at its relaxed geometry.

Lattice parameters (Å, degrees): 3.6583 3.6583 12.3417 90.00 90.00 120.00
Last column: nearest neighbours and their distance in Å.
Element x y z (fractional)
Hf1 0.3333 0.6667 0.1163  6 P 2.55-2.68
Hf2 0.3333 0.6667 0.3837  6 P 2.55-2.68
Hf3 0.6667 0.3333 0.6163  6 P 2.55-2.68
Hf4 0.6667 0.3333 0.8837  6 P 2.55-2.68
P1 0.0000 0.0000 0.0000  6 Hf 2.55
P2 0.0000 0.0000 0.5000  6 Hf 2.55
P3 0.3333 0.6667 0.7500  6 Hf 2.68
P4 0.6667 0.3333 0.2500  6 Hf 2.68

SG ... No. 194


Density functional theory data (r²SCAN) for crystalline Li3CuF6 at its relaxed geometry.

Lattice parameters (Å, degrees): 9.4638 8.2610 4.9144 90.00 90.00 90.00
Last column: nearest neighbours and their distance in Å.
Element x y z (fractional)
Li1 0.1049 0.0527 0.0000  4 F 1.86-2.02
Li2 0.1247 0.6386 0.5115  5 F 1.87-2.08
Li3 0.1488 0.4466 0.0082  5 F 1.89-2.08
Li4 0.3512 0.9466 0.5082  5 F 1.89-2.08
Li5 0.3753 0.1386 0.0116  5 F 1.87-2.08
Li6 0.3951 0.5527 0.5000  4 F 1.86-2.02
Li7 0.6049 0.4473 0.0000  4 F 1.86-2.02
Li8 0.6247 0.8614 0.5115  5 F 1.87-2.08
Li9 0.6488 0.0534 0.0082  5 F 1.89-2.08
Li10 0.8512 0.5534 0.5082  5 F 1.89-2.08
Li11 0.8753 0.3614 0.0116  5 F 1.87-2.08
Li12 0.8951 0.9473 0.5000  4 F 1.86-2.02
Cu1 0.1286 0.2604 0.5050  6 F 1.87-1.91
Cu2 0.3714 0.7604 0.0050  6 F 1.87-1.91
Cu3 0.6286 0.2396 0.5050  6 F 1.87-1.91
Cu4 0.8714 0.7396 0.0050  6 F 1.87-1.91
F1 0.0116 0.4180 0.3296  1 Cu 1.91, 3 Li 2.06-2.08
F2 0.0234 0.0928 0.3486  2 Li 1.86-1.91, 1 Cu 1.87
F3 0.0227 0.2551 0.8303  2 Li 1.87-2.02, 1 Cu 1.89
F4 0.2293 0.4396 0.6522  1 Cu 1.90, 3 Li 1.91-2.04
F5 0.2402 0.2664 0.1880  2 Li 1.87-1.94, 1 Cu 1.88
F6 0.2479 0.1107 0.6866  3 Li 1.89-2.11, 1 Cu 1.90
F7 0.2521 0.6107 0.1866  3 Li 1.89-2.11, 1 Cu 1.90
F8 0.2598 0.7664 0.6880  2 Li 1.87-1.94, 1 Cu 1.88
F9 0.2707 0.9396 0.1522  1 Cu 1.90, 3 Li 1.91-2.04
F10 0.4766 0.5928 0.8486  2 Li 1.86-1.91, 1 Cu 1.87
F11 0.4773 0.7551 0.3303  2 Li 1.87-2.02, 1 Cu 1.89
F12 0.4884 0.9180 0.8296  1 Cu 1.91, 3 Li 2.06-2.08
F13 0.5116 0.0820 0.3296  1 Cu 1.91, 3 Li 2.06-2.08
F14 0.5227 0.2449 0.8303  2 Li 1.87-2.02, 1 Cu 1.89
F15 0.5234 0.4072 0.3486  2 Li 1.86-1.91, 1 Cu 1.87
F16 0.7293 0.0604 0.6522  1 Cu 1.90, 3 Li 1.91-2.04
F17 0.7402 0.2336 0.1880  2 Li 1.87-1.94, 1 Cu 1.88
F18 0.7479 0.3893 0.6866  3 Li 1.89-2.11, 1 Cu 1.90
F19 0.7521 0.8893 0.1866  3 Li 1.89-2.11, 1 Cu 1.90
F20 0.7598 0.7336 0.6880  2 Li 1.87-1.94, 1 Cu 1.88
F21 0.7707 0.5604 0.1522  1 Cu 1.90, 3 Li 1.91-2.04
F22 0.9773 0.7449 0.3303  2 Li 1.87-2.02, 1 Cu 1.89
F23 0.9766 0.9072 0.8486  2 Li 1.86-1.91, 1 Cu 1.87
F24 0.9884 0.5820 0.8296  1 Cu 1.91, 3 Li 2.06-2.08

Distance to the lowest polymorph of the same formula ... 0.000 eV/f.u.
SG ... No. 33


Density functional theory data (r²SCAN) for crystalline CeTh3O8 at its relaxed geometry.

Lattice parameters (Å, degrees): 13.0229 13.0229 13.0229 17.39 17.39 17.39
Last column: nearest neighbours and their distance in Å.
Element x y z (fractional)
Ce1 0.0000 0.0000 0.0000  8 O 2.34-2.40
Th1 0.2513 0.2513 0.2513  8 O 2.40-2.44
Th2 0.5000 0.5000 0.5000  8 O 2.41-2.44
Th3 0.7487 0.7487 0.7487  8 O 2.40-2.44
O1 0.0609 0.0609 0.0609  1 Ce 2.34, 3 Th 2.41
O2 0.1879 0.1879 0.1879  4 Th 2.41-2.44
O3 0.3136 0.3136 0.3136  3 Ce 2.40, 1 Th 2.40
O4 0.4367 0.4367 0.4367  4 Th 2.42-2.44
O5 0.5633 0.5633 0.5633  4 Th 2.42-2.44
O6 0.6864 0.6864 0.6864  3 Ce 2.40, 1 Th 2.40
O7 0.8121 0.8121 0.8121  4 Th 2.41-2.44
O8 0.9391 0.9391 0.9391  1 Ce 2.34, 3 Th 2.41

SG ... No. 166


Density functional theory data (r²SCAN) for crystalline Sm2MgTl at its relaxed geometry.

Lattice parameters (Å, degrees): 5.4281 5.4281 5.4281 60.00 60.00 60.00
Last column: nearest neighbours and their distance in Å.
Element x y z (fractional)
Sm1 0.2500 0.2500 0.2500  4 Tl 3.32, 4 Mg 3.32
Sm2 0.7500 0.7500 0.7500  4 Mg 3.32, 4 Tl 3.32
Mg1 0.0000 0.0000 0.0000  8 Sm 3.32
Tl1 0.5000 0.5000 0.5000  8 Sm 3.32

SG ... No. 225


Density functional theory data (r²SCAN) for crystalline NpH3 at its relaxed geometry.

Lattice parameters (Å, degrees): 3.7312 3.7312 6.6653 90.00 90.00 120.00
Last column: nearest neighbours and their distance in Å.
Element x y z (fractional)
Np1 0.3333 0.6667 0.2500  11 H 2.15-2.39
Np2 0.6667 0.3333 0.7500  11 H 2.15-2.39
H1 0.0000 0.0000 0.2500  3 Np 2.15, 6 H 2.39
H2 0.0000 0.0000 0.7500  3 Np 2.15, 6 H 2.39
H3 0.3333 0.6667 0.5942  1 H 2.08, 1 Np 2.29
H4 0.3333 0.6667 0.9058  1 H 2.08, 1 Np 2.29
H5 0.6667 0.3333 0.0942  1 H 2.08, 1 Np 2.29
H6 0.6667 0.3333 0.4058  1 H 2.08, 1 Np 2.29

SG ... No. 194


Density functional theory data (r²SCAN) for crystalline YLuHg2 at its relaxed geometry.

Lattice parameters (Å, degrees): 5.1757 5.1757 5.1757 60.00 60.00 60.00
Last column: nearest neighbours and their distance in Å.
Element x y z (fractional)
Y1 0.0000 0.0000 0.0000  8 Hg 3.17
Lu1 0.5000 0.5000 0.5000  8 Hg 3.17
Hg1 0.2500 0.2500 0.2500  4 Lu 3.17, 4 Y 3.17
Hg2 0.7500 0.7500 0.7500  4 Y 3.17, 4 Lu 3.17

SG ... No. 225


Density functional theory data (r²SCAN) for crystalline SmFe2SiC at its relaxed geometry.

Lattice parameters (Å, degrees): 5.5852 5.5852 6.7157 90.00 90.00 139.48
Last column: nearest neighbours and their distance in Å.
Element x y z (fractional)
Sm1 0.0515 0.9485 0.7500  4 C 2.62
Sm2 0.9485 0.0515 0.2500  4 C 2.62
Fe1 0.3340 0.6660 0.5664  1 C 1.80
Fe2 0.3340 0.6660 0.9336  1 C 1.80
Fe3 0.6660 0.3340 0.0664  1 C 1.80
Fe4 0.6660 0.3340 0.4336  1 C 1.80
Si1 0.2290 0.7710 0.2500  6 Fe 2.39
Si2 0.7710 0.2290 0.7500  6 Fe 2.39
C1 0.5000 0.5000 0.0000  2 Fe 1.80
C2 0.5000 0.5000 0.5000  2 Fe 1.80

SG ... No. 63


Density functional theory data (r²SCAN) for crystalline HfZn2 at its relaxed geometry.

Lattice parameters (Å, degrees): 5.1494 5.1494 5.1494 60.00 60.00 60.00
Last column: nearest neighbours and their distance in Å.
Element x y z (fractional)
Hf1 0.1250 0.1250 0.1250  12 Zn 3.02, 4 Hf 3.15
Hf2 0.8750 0.8750 0.8750  12 Zn 3.02, 4 Hf 3.15
Zn1 0.0000 0.5000 0.5000  6 Zn 2.57
Zn2 0.5000 0.0000 0.5000  6 Zn 2.57
Zn3 0.5000 0.5000 0.0000  6 Zn 2.57
Zn4 0.5000 0.5000 0.5000  6 Zn 2.57

SG ... No. 227


Density functional theory data (r²SCAN) for crystalline Mg5Cd at its relaxed geometry.

Lattice parameters (Å, degrees): 5.9907 5.9907 7.5286 104.18 104.18 30.23
Last column: nearest neighbours and their distance in Å.
Element x y z (fractional)
Mg1 0.0000 0.0000 0.0000  9 Mg 3.10-3.17, 3 Cd 3.11-3.14
Mg2 0.0545 0.0545 0.6178  10 Mg 3.08-3.22, 2 Cd 3.16
Mg3 0.3277 0.3277 0.6700  10 Mg 3.08-3.20, 2 Cd 3.11
Mg4 0.3839 0.3839 0.2755  2 Cd 3.10, 10 Mg 3.12-3.22
Mg5 0.6621 0.6621 0.3341  11 Mg 3.12-3.17, 1 Cd 3.14
Cd1 0.7225 0.7225 0.9499  10 Mg 3.10-3.16, 2 Cd 3.12

SG ... No. 8


Density functional theory data (r²SCAN) for crystalline Ti6Al16Ir7 at its relaxed geometry.

Lattice parameters (Å, degrees): 8.5410 8.5410 8.5410 60.00 60.00 60.00
Last column: nearest neighbours and their distance in Å.
Element x y z (fractional)
Ti1 0.1770 0.1770 0.8230  4 Al 2.72, 4 Ti 3.02
Ti2 0.1770 0.8230 0.1770  4 Al 2.72, 4 Ti 3.02
Ti3 0.1770 0.8230 0.8230  4 Al 2.72, 4 Ti 3.02
Ti4 0.8230 0.1770 0.1770  4 Al 2.72, 4 Ti 3.02
Ti5 0.8230 0.1770 0.8230  4 Al 2.72, 4 Ti 3.02
Ti6 0.8230 0.8230 0.1770  4 Al 2.72, 4 Ti 3.02
Al1 0.1392 0.6203 0.6203  4 Ir 2.52-2.65, 3 Al 2.75
Al2 0.1584 0.1584 0.1584  3 Ir 2.47, 3 Ti 2.72, 3 Al 2.75
Al3 0.1584 0.1584 0.5248  3 Ir 2.47, 3 Ti 2.72, 3 Al 2.75
Al4 0.1584 0.5248 0.1584  3 Ir 2.47, 3 Ti 2.72, 3 Al 2.75
Al5 0.3797 0.3797 0.3797  4 Ir 2.52-2.65, 3 Al 2.75
Al6 0.3797 0.3797 0.8608  4 Ir 2.52-2.65, 3 Al 2.75
Al7 0.3797 0.8608 0.3797  4 Ir 2.52-2.65, 3 Al 2.75
Al8 0.4752 0.8416 0.8416  3 Ir 2.47, 3 Ti 2.72, 3 Al 2.75
Al9 0.5248 0.1584 0.1584  3 Ir 2.47, 3 Ti 2.72, 3 Al 2.75
Al10 0.6203 0.1392 0.6203  4 Ir 2.52-2.65, 3 Al 2.75
Al11 0.6203 0.6203 0.1392  4 Ir 2.52-2.65, 3 Al 2.75
Al12 0.6203 0.6203 0.6203  4 Ir 2.52-2.65, 3 Al 2.75
Al13 0.8416 0.4752 0.8416  3 Ir 2.47, 3 Ti 2.72, 3 Al 2.75
Al14 0.8416 0.8416 0.4752  3 Ir 2.47, 3 Ti 2.72, 3 Al 2.75
Al15 0.8416 0.8416 0.8416  3 Ir 2.47, 3 Ti 2.72, 3 Al 2.75
Al16 0.8608 0.3797 0.3797  4 Ir 2.52-2.65, 3 Al 2.75
Ir1 0.0000 0.0000 0.5000  8 Al 2.47-2.65
Ir2 0.0000 0.5000 0.0000  8 Al 2.47-2.65
Ir3 0.0000 0.5000 0.5000  8 Al 2.47-2.65
Ir4 0.5000 0.0000 0.0000  8 Al 2.47-2.65
Ir5 0.5000 0.0000 0.5000  8 Al 2.47-2.65
Ir6 0.5000 0.5000 0.0000  8 Al 2.47-2.65
Ir7 0.5000 0.5000 0.5000  8 Al 2.52

SG ... No. 225


Density functional theory data (r²SCAN) for crystalline GdAu at its relaxed geometry.

Lattice parameters (Å, degrees): 3.6154 3.6154 3.6154 90.00 90.00 90.00
Last column: nearest neighbours and their distance in Å.
Element x y z (fractional)
Gd1 0.0000 0.0000 0.0000  8 Au 3.13
Au1 0.5000 0.5000 0.5000  8 Gd 3.13

SG ... No. 221


Across the entries above, formation energy takes the values 14.896 -33.004 -60.118 -94.713 -7.457 -12.010 -13.072 -7.773 -6.415 -0.564 -19.776 -19.450 kcal/mol of atoms, respectively.